# 1
5
Lattice="-2.0211 1.2394 -2.5909 2.3236 -1.1567 -2.3658 -7.7784 -14.1710 -0.7110" Properties=species:S:1:pos:R:3 comment="GGA-PBE K2CdSb2, optimized geometry" e_tot_ev_per_cell=-10.3 magmom_total_mub_per_cell=0.0 crystal_system=tetragonal space_group="P4/mmm (123)" pbc="T T T"
K -2.7951 -5.3264 -2.7477
K -4.6809 -8.7619 -2.9200
Sb -1.1725 -2.3703 -2.5994
Sb -6.3035 -11.7181 -3.0684
Cd 0.1512 0.0413 -2.4784

---

# 2
12
Lattice="1.6112 -2.7907 0.0000 1.6112 2.7907 0.0000 0.0000 0.0000 38.4705" Properties=species:S:1:pos:R:3 comment="GGA-PBE W2SeS3, optimized geometry" e_tot_ev_per_cell=-92.6 crystal_system=trigonal space_group="P3m1 (156)" pbc="T T T"
S 1.6112 -0.9302 2.0095
S 1.6112 -0.9302 5.1268
S 1.6112 0.9302 26.9460
S 1.6112 0.9302 9.2385
S 1.6112 0.9302 23.8281
S 1.6112 0.9302 12.3563
Se 1.6112 -0.9302 19.7827
Se 1.6112 -0.9302 16.3469
W 1.6112 0.9302 3.5681
W 1.6112 -0.9302 10.7980
W 1.6112 -0.9302 25.3873
W 1.6112 0.9302 18.0658

---

# 3
16
Lattice="9.0566 0.0000 0.0000 0.0000 4.5240 0.0000 0.0000 0.0000 4.5240" Properties=species:S:1:pos:R:3 comment="GGA-PBE CaYMg6O8, optimized geometry" polymorph_energy_ev_per_atom=0.036 magmom_total_mub_per_cell=0.0 crystal_system=tetragonal space_group="P4/mmm (123)" pbc="T T T"
Mg 2.1821 0.0000 2.2620
Mg 6.8745 0.0000 2.2620
Mg 4.5283 2.2620 2.2620
Mg 0.0000 2.2620 2.2620
Mg 2.1821 2.2620 0.0000
Mg 6.8745 2.2620 0.0000
O 4.5283 0.0000 2.2620
O 6.8307 2.2620 2.2620
O 2.2259 2.2620 2.2620
O 0.0000 2.2620 0.0000
O 2.2858 0.0000 0.0000
O 0.0000 0.0000 2.2620
O 6.7708 0.0000 0.0000
O 4.5283 2.2620 0.0000
Y 4.5283 0.0000 0.0000
Ca 0.0000 0.0000 0.0000

---

Repeat the second record exactly.
12
Lattice="1.6112 -2.7907 0.0000 1.6112 2.7907 0.0000 0.0000 0.0000 38.4705" Properties=species:S:1:pos:R:3 comment="GGA-PBE W2SeS3, optimized geometry" e_tot_ev_per_cell=-92.6 crystal_system=trigonal space_group="P3m1 (156)" pbc="T T T"
S 1.6112 -0.9302 2.0095
S 1.6112 -0.9302 5.1268
S 1.6112 0.9302 26.9460
S 1.6112 0.9302 9.2385
S 1.6112 0.9302 23.8281
S 1.6112 0.9302 12.3563
Se 1.6112 -0.9302 19.7827
Se 1.6112 -0.9302 16.3469
W 1.6112 0.9302 3.5681
W 1.6112 -0.9302 10.7980
W 1.6112 -0.9302 25.3873
W 1.6112 0.9302 18.0658